No. 1
{
  "formula": "Y5Ge10Rh4",
  "functional": "r²SCAN",
  "state": "relaxed",
  "lattice": [[12.9955, 0.0000, 0.0000], [0.0000, 12.9955, 0.0000], [0.0000, 0.0000, 4.2895]],
  "species": ["Ge", "Ge", "Ge", "Ge", "Ge", "Ge", "Ge", "Ge", "Ge", "Ge", "Ge", "Ge", "Ge", "Ge", "Ge", "Ge", "Ge", "Ge", "Ge", "Ge", "Y", "Y", "Y", "Y", "Y", "Y", "Y", "Y", "Y", "Y", "Rh", "Rh", "Rh", "Rh", "Rh", "Rh", "Rh", "Rh"],
  "frac_coords": [[0.3414, 0.4972, 0.5000], [0.5028, 0.3414, 0.5000], [0.4328, 0.9328, 0.0000], [0.9972, 0.8414, 0.5000], [0.8384, 0.2008, 0.0000], [0.0672, 0.4328, 0.0000], [0.7992, 0.8384, 0.0000], [0.1586, 0.9972, 0.5000], [0.8414, 0.0028, 0.5000], [0.2992, 0.6617, 0.0000], [0.7008, 0.3384, 0.0000], [0.9328, 0.5672, 0.0000], [0.6616, 0.7008, 0.0000], [0.0028, 0.1586, 0.5000], [0.4971, 0.6586, 0.5000], [0.3384, 0.2992, 0.0000], [0.2008, 0.1616, 0.0000], [0.6586, 0.5028, 0.5000], [0.5672, 0.0672, 0.0000], [0.1616, 0.7992, 0.0000], [0.1126, 0.6126, 0.5000], [0.8251, 0.6749, 0.5000], [0.1749, 0.3251, 0.5000], [0.3251, 0.8251, 0.5000], [0.6126, 0.8874, 0.5000], [0.6749, 0.1749, 0.5000], [0.5000, 0.5000, 0.0000], [0.3874, 0.1125, 0.5000], [0.0000, 0.0000, 0.0000], [0.8874, 0.3874, 0.5000], [0.0212, 0.2447, 0.0000], [0.9788, 0.7553, 0.0000], [0.7553, 0.0212, 0.0000], [0.4788, 0.7447, 0.0000], [0.5212, 0.2553, 0.0000], [0.7447, 0.5212, 0.0000], [0.2553, 0.4788, 0.0000], [0.2447, 0.9788, 0.0000]],
  "e_form_mev_per_atom": -868,
  "dft_energy_ev_per_cell": -706.7,
  "magmom_total_mub_per_fu": 0.0
}


No. 2
{
  "formula": "Ni6SnSb",
  "functional": "r²SCAN",
  "state": "relaxed",
  "lattice": [[4.2368, 0.0000, 0.0000], [0.0000, 4.4807, 0.0000], [0.0000, 0.0000, 5.2744]],
  "species": ["Ni", "Ni", "Ni", "Ni", "Ni", "Ni", "Sb", "Sn"],
  "frac_coords": [[0.0000, 0.8279, 0.7479], [0.5000, 0.6935, 0.0000], [0.5000, 0.1706, 0.7473], [0.5000, 0.1706, 0.2527], [0.0000, 0.8279, 0.2521], [0.0000, 0.3112, 0.5000], [0.5000, 0.6745, 0.5000], [0.0000, 0.3239, 0.0000]],
  "e_form_mev_per_atom": -109,
  "dft_energy_ev_per_cell": -123.2,
  "magmom_total_mub_per_fu": 0.0
}


No. 3
{
  "formula": "MgSe2O5",
  "functional": "r²SCAN",
  "state": "relaxed",
  "lattice": [[-5.2659, -1.2656, -2.6248], [2.8043, -5.4541, -2.9962], [-2.6632, -5.8552, 8.1660]],
  "species": ["O", "O", "O", "O", "O", "O", "O", "O", "O", "O", "O", "O", "O", "O", "O", "O", "O", "O", "O", "O", "Se", "Se", "Se", "Se", "Se", "Se", "Se", "Se", "Mg", "Mg", "Mg", "Mg"],
  "frac_coords": [[0.9526, 0.6577, 0.9326], [0.2500, 0.0000, 0.0683], [0.7500, 0.0000, 0.9317], [0.8421, 0.6918, 0.2085], [0.6579, 0.3082, 0.2085], [0.5474, 0.1577, 0.4326], [0.7500, 0.5000, 0.4317], [0.4526, 0.8423, 0.5674], [0.0474, 0.3423, 0.0674], [0.1579, 0.3082, 0.7915], [0.0474, 0.1577, 0.5674], [0.3421, 0.8082, 0.2915], [0.9526, 0.8423, 0.4326], [0.2500, 0.5000, 0.5683], [0.6579, 0.1918, 0.7085], [0.4526, 0.6577, 0.0674], [0.1579, 0.1918, 0.2915], [0.3421, 0.6918, 0.7915], [0.8421, 0.8082, 0.7085], [0.5474, 0.3423, 0.9326], [0.5291, 0.1326, 0.8457], [0.0291, 0.1326, 0.1543], [0.9709, 0.6326, 0.3457], [0.4709, 0.8674, 0.1543], [0.9709, 0.8674, 0.8457], [0.5291, 0.3674, 0.3457], [0.4709, 0.6326, 0.6543], [0.0291, 0.3674, 0.6543], [0.7500, 0.0000, 0.5605], [0.2500, 0.5000, 0.9395], [0.7500, 0.5000, 0.0605], [0.2500, 0.0000, 0.4395]],
  "e_form_mev_per_atom": -1431,
  "dft_energy_ev_per_cell": -296.4,
  "magmom_total_mub_per_fu": 0.0
}


No. 4
{
  "formula": "Y14Ag51",
  "functional": "r²SCAN",
  "state": "relaxed",
  "lattice": [[-6.2045, 4.5571, -5.2659], [-1.4659, 8.6034, 9.1725], [8.8208, 1.6993, -8.9224]],
  "species": ["Ag", "Ag", "Ag", "Ag", "Ag", "Ag", "Ag", "Ag", "Ag", "Ag", "Ag", "Ag", "Ag", "Ag", "Ag", "Ag", "Ag", "Ag", "Ag", "Ag", "Ag", "Ag", "Ag", "Ag", "Ag", "Ag", "Ag", "Ag", "Ag", "Ag", "Ag", "Ag", "Ag", "Ag", "Ag", "Ag", "Ag", "Ag", "Ag", "Ag", "Ag", "Ag", "Ag", "Ag", "Ag", "Ag", "Ag", "Ag", "Ag", "Ag", "Ag", "Y", "Y", "Y", "Y", "Y", "Y", "Y", "Y", "Y", "Y", "Y", "Y", "Y", "Y"],
  "frac_coords": [[0.0000, 0.8819, 0.0151], [0.7598, 0.7294, 0.9241], [0.7598, 0.1946, 0.2706], [0.7688, 0.9244, 0.1876], [0.8491, 0.5026, 0.8848], [0.1522, 0.6240, 0.5090], [0.5000, 0.0577, 0.2358], [0.1509, 0.3822, 0.4974], [0.0000, 0.9849, 0.8668], [0.2312, 0.2632, 0.0756], [0.7598, 0.0759, 0.8054], [0.3334, 0.6627, 0.1040], [0.3323, 0.5632, 0.6668], [0.6666, 0.8960, 0.5587], [0.5000, 0.7642, 0.8219], [0.3323, 0.3332, 0.8964], [0.3334, 0.8960, 0.5587], [0.6677, 0.5632, 0.6668], [0.0000, 0.1332, 0.1181], [0.1522, 0.8851, 0.3760], [0.7688, 0.8124, 0.7368], [0.6677, 0.1036, 0.4368], [0.2987, 0.3333, 0.6667], [0.6666, 0.4413, 0.3373], [0.5000, 0.1781, 0.9423], [0.1522, 0.4910, 0.1149], [0.2402, 0.0759, 0.8054], [0.2990, 0.6667, 0.3333], [0.5000, 0.9408, 0.7603], [0.5000, 0.8196, 0.0592], [0.8478, 0.8851, 0.3760], [0.6666, 0.6627, 0.1040], [0.3334, 0.4413, 0.3373], [0.8478, 0.4910, 0.1149], [0.8491, 0.1152, 0.6178], [0.0000, 0.3333, 0.6667], [0.7010, 0.6667, 0.3333], [0.2402, 0.1946, 0.2706], [0.7013, 0.3333, 0.6667], [0.8491, 0.3822, 0.4974], [0.2402, 0.7294, 0.9241], [0.2312, 0.8124, 0.7368], [0.7688, 0.2632, 0.0756], [0.0000, 0.6667, 0.3333], [0.8478, 0.6240, 0.5090], [0.1509, 0.1152, 0.6178], [0.5000, 0.2397, 0.1804], [0.3323, 0.1036, 0.4368], [0.6677, 0.3332, 0.8964], [0.1509, 0.5026, 0.8848], [0.2312, 0.9244, 0.1876], [0.5000, 0.4682, 0.1405], [0.0000, 0.6202, 0.7327], [0.0000, 0.1125, 0.3798], [0.5000, 0.5282, 0.8576], [0.5000, 0.1424, 0.6706], [0.5000, 0.6723, 0.5318], [0.0000, 0.2673, 0.8876], [0.0000, 0.3997, 0.2839], [0.5000, 0.8595, 0.3277], [0.0000, 0.7161, 0.1158], [0.3063, 0.0000, 0.0000], [0.5000, 0.3294, 0.4718], [0.6937, 0.0000, 0.0000], [0.0000, 0.8842, 0.6003]],
  "e_form_mev_per_atom": -243,
  "dft_energy_ev_per_cell": -1389.4,
  "magmom_total_mub_per_fu": 0.0
}


No. 5
{
  "formula": "Hf7Au10",
  "functional": "r²SCAN",
  "state": "relaxed",
  "lattice": [[-1.6800, -5.0046, 6.3449], [3.0113, -4.6941, -6.0847], [9.0863, 1.3401, 3.4628]],
  "species": ["Hf", "Hf", "Hf", "Hf", "Hf", "Hf", "Hf", "Hf", "Hf", "Hf", "Hf", "Hf", "Hf", "Hf", "Au", "Au", "Au", "Au", "Au", "Au", "Au", "Au", "Au", "Au", "Au", "Au", "Au", "Au", "Au", "Au", "Au", "Au", "Au", "Au"],
  "frac_coords": [[0.0045, 0.5045, 0.2500], [0.3141, 0.3141, 0.1877], [0.4955, 0.9955, 0.7500], [0.6899, 0.3101, 0.0000], [0.5045, 0.0045, 0.2500], [0.1859, 0.1859, 0.6877], [0.6859, 0.6859, 0.8123], [0.9955, 0.4955, 0.7500], [0.0000, 0.0000, 0.0000], [0.8141, 0.8141, 0.3123], [0.1899, 0.8101, 0.5000], [0.8101, 0.1899, 0.5000], [0.3101, 0.6899, 0.0000], [0.5000, 0.5000, 0.5000], [0.6482, 0.3561, 0.2923], [0.3946, 0.3946, 0.8973], [0.0592, 0.3528, 0.0004], [0.8946, 0.8946, 0.6027], [0.1482, 0.8561, 0.2077], [0.3528, 0.0592, 0.0004], [0.6439, 0.3518, 0.7077], [0.1054, 0.1054, 0.3973], [0.3518, 0.6439, 0.7077], [0.4408, 0.1472, 0.5004], [0.5592, 0.8528, 0.4996], [0.6054, 0.6054, 0.1027], [0.8561, 0.1482, 0.2077], [0.1439, 0.8518, 0.7923], [0.3561, 0.6482, 0.2923], [0.9408, 0.6472, 0.9996], [0.1472, 0.4408, 0.5004], [0.6472, 0.9408, 0.9996], [0.8528, 0.5592, 0.4996], [0.8518, 0.1439, 0.7923]],
  "e_form_mev_per_atom": -627,
  "dft_energy_ev_per_cell": -1665.2,
  "magmom_total_mub_per_fu": 0.0
}


No. 6
{
  "formula": "Pr2GaNi2",
  "functional": "r²SCAN",
  "state": "relaxed",
  "lattice": [[-4.9339, 1.7701, 1.7473], [-2.9785, 0.0881, -4.6530], [2.7824, -3.9045, 2.7464]],
  "species": ["Ga", "Ni", "Ni", "Pr", "Pr"],
  "frac_coords": [[0.0000, 0.0000, 0.0000], [0.2605, 0.5000, 0.7605], [0.7395, 0.5000, 0.2395], [0.2998, 0.7998, 0.5000], [0.7002, 0.2002, 0.5000]],
  "e_form_mev_per_atom": -430,
  "dft_energy_ev_per_cell": -96.4,
  "magmom_total_mub_per_fu": 0.0
}


No. 7
{
  "formula": "GdHoAl6",
  "functional": "r²SCAN",
  "state": "relaxed",
  "lattice": [[3.1328, -5.4262, 0.0000], [3.1328, 5.4262, 0.0000], [0.0000, 0.0000, 4.5901]],
  "species": ["Al", "Al", "Al", "Al", "Al", "Al", "Gd", "Ho"],
  "frac_coords": [[0.3747, 0.1873, 0.5000], [0.5215, 0.4785, 0.0000], [0.9570, 0.4785, 0.0000], [0.8127, 0.6253, 0.5000], [0.8127, 0.1873, 0.5000], [0.5215, 0.0430, 0.0000], [0.3333, 0.6667, 0.5000], [0.0000, 0.0000, 0.0000]],
  "e_form_mev_per_atom": -463,
  "dft_energy_ev_per_cell": -120.4,
  "magmom_total_mub_per_fu": 7.1
}


No. 8
{
  "formula": "Hg5Pd2",
  "functional": "r²SCAN",
  "state": "relaxed",
  "lattice": [[-0.7967, 2.8425, 0.3970], [-8.4654, -1.7241, -4.6448], [-4.2027, -2.3707, 8.5396]],
  "species": ["Hg", "Hg", "Hg", "Hg", "Hg", "Hg", "Hg", "Hg", "Hg", "Hg", "Pd", "Pd", "Pd", "Pd"],
  "frac_coords": [[0.0000, 0.5000, 0.0000], [0.0000, 0.2038, 0.9363], [0.0000, 0.5637, 0.2962], [0.0000, 0.9363, 0.7962], [0.0000, 0.2962, 0.4363], [0.0000, 0.0637, 0.2038], [0.0000, 0.0000, 0.5000], [0.0000, 0.4363, 0.7038], [0.0000, 0.7038, 0.5637], [0.0000, 0.7962, 0.0637], [0.5000, 0.3199, 0.1801], [0.5000, 0.8199, 0.3199], [0.5000, 0.1801, 0.6801], [0.5000, 0.6801, 0.8199]],
  "e_form_mev_per_atom": -78,
  "dft_energy_ev_per_cell": -586.6,
  "magmom_total_mub_per_fu": 0.0
}


No. 9
{
  "formula": "Hf6Ga2Co",
  "functional": "r²SCAN",
  "state": "relaxed",
  "lattice": [[0.0000, 0.0000, -3.3156], [-3.8544, -6.6760, 0.0000], [-3.8543, 6.6759, 0.0000]],
  "species": ["Hf", "Hf", "Hf", "Hf", "Hf", "Hf", "Co", "Ga", "Ga"],
  "frac_coords": [[0.0000, 0.7515, 0.7516], [0.5000, 0.5991, 0.0000], [0.5000, 0.4009, 0.4009], [0.5000, 0.0000, 0.5992], [0.0000, 0.0000, 0.2484], [0.0000, 0.2484, 0.0000], [0.5000, 0.0000, 0.0000], [0.0000, 0.3333, 0.6667], [0.0000, 0.6666, 0.3333]],
  "e_form_mev_per_atom": -403,
  "dft_energy_ev_per_cell": -310.7,
  "magmom_total_mub_per_fu": 0.7
}


No. 10
{
  "formula": "Ti2Zn",
  "functional": "r²SCAN",
  "state": "relaxed",
  "lattice": [[3.0210, 0.0000, 0.0000], [0.0000, 3.0210, 0.0000], [-1.5105, -1.5105, 5.2922]],
  "species": ["Ti", "Ti", "Zn"],
  "frac_coords": [[0.6637, 0.6637, 0.3275], [0.3363, 0.3363, 0.6725], [0.0000, 0.0000, 0.0000]],
  "e_form_mev_per_atom": -176,
  "dft_energy_ev_per_cell": -35.3,
  "magmom_total_mub_per_fu": 0.0
}


No. 11
{
  "formula": "BaTi2O5",
  "functional": "r²SCAN",
  "state": "relaxed",
  "lattice": [[3.9321, 0.0000, 0.0000], [0.0000, 10.3045, 0.0000], [0.0000, 0.0000, 10.9437]],
  "species": ["O", "O", "O", "O", "O", "O", "O", "O", "O", "O", "O", "O", "O", "O", "O", "O", "O", "O", "O", "O", "Ti", "Ti", "Ti", "Ti", "Ti", "Ti", "Ti", "Ti", "Ba", "Ba", "Ba", "Ba"],
  "frac_coords": [[0.7500, 0.1730, 0.5696], [0.7500, 0.7356, 0.2799], [0.2500, 0.9873, 0.6483], [0.7500, 0.3009, 0.9173], [0.7500, 0.4000, 0.4251], [0.2500, 0.2644, 0.7201], [0.7500, 0.2356, 0.2201], [0.2500, 0.1991, 0.4173], [0.7500, 0.9000, 0.0749], [0.2500, 0.7644, 0.7799], [0.2500, 0.4873, 0.8517], [0.7500, 0.8009, 0.5827], [0.7500, 0.5127, 0.1483], [0.2500, 0.6991, 0.0827], [0.2500, 0.1000, 0.9251], [0.2500, 0.6000, 0.5749], [0.7500, 0.6730, 0.9304], [0.2500, 0.3270, 0.0696], [0.2500, 0.8270, 0.4304], [0.7500, 0.0127, 0.3517], [0.2500, 0.1463, 0.5918], [0.7500, 0.2321, 0.3972], [0.2500, 0.6463, 0.9082], [0.7500, 0.8537, 0.4082], [0.7500, 0.7321, 0.1028], [0.7500, 0.3537, 0.0918], [0.2500, 0.2679, 0.8972], [0.2500, 0.7679, 0.6028], [0.7500, 0.9512, 0.8236], [0.2500, 0.0488, 0.1764], [0.7500, 0.4512, 0.6764], [0.2500, 0.5488, 0.3236]],
  "e_above_lowest_polymorph_mev_per_atom": 0,
  "e_form_mev_per_atom": -3361,
  "dft_energy_ev_per_cell": -436.5,
  "magmom_total_mub_per_fu": 0.0
}


No. 12
{
  "formula": "LiMnF4",
  "functional": "r²SCAN",
  "state": "relaxed",
  "lattice": [[-0.3641, -4.5657, -0.5583], [5.1581, -0.5748, 1.3374], [0.8502, -0.7492, 5.5717]],
  "species": ["F", "F", "F", "F", "F", "F", "F", "F", "Mn", "Mn", "Li", "Li"],
  "frac_coords": [[0.8139, 0.6700, 0.1435], [0.3139, 0.3300, 0.3565], [0.2849, 0.8489, 0.8610], [0.2151, 0.8489, 0.3610], [0.1861, 0.3300, 0.8565], [0.6861, 0.6700, 0.6435], [0.7849, 0.1511, 0.6390], [0.7151, 0.1511, 0.1390], [0.5000, 0.0000, 0.5000], [0.0000, 0.0000, 0.0000], [0.5000, 0.5000, 0.0000], [0.0000, 0.5000, 0.5000]],
  "e_form_mev_per_atom": -2986,
  "dft_energy_ev_per_cell": -95.0,
  "magmom_total_mub_per_fu": 4.0
}


No. 13
{
  "formula": "Ti2Sn",
  "functional": "r²SCAN",
  "state": "relaxed",
  "lattice": [[-2.3948, 0.6144, -4.0387], [-0.0206, -4.2210, 2.1462], [-4.5510, 1.5112, 2.9285]],
  "species": ["Ti", "Ti", "Ti", "Ti", "Sn", "Sn"],
  "frac_coords": [[0.0000, 0.0000, 0.0000], [0.6667, 0.3333, 0.2500], [0.0000, 0.0000, 0.5000], [0.3333, 0.6667, 0.7500], [0.6667, 0.3333, 0.7500], [0.3333, 0.6667, 0.2500]],
  "e_form_mev_per_atom": -366,
  "dft_energy_ev_per_cell": -103.4,
  "magmom_total_mub_per_fu": 0.0
}


No. 14
{
  "formula": "K4Be3O5",
  "functional": "r²SCAN",
  "state": "relaxed",
  "lattice": [[3.6158, 5.1418, -0.0017], [-3.6158, 5.1418, -0.0017], [0.0000, 5.0474, 9.4600]],
  "species": ["Be", "Be", "Be", "Be", "Be", "Be", "K", "K", "K", "K", "K", "K", "K", "K", "O", "O", "O", "O", "O", "O", "O", "O", "O", "O"],
  "frac_coords": [[0.0210, 0.9790, 0.7500], [0.6890, 0.3110, 0.2500], [0.3110, 0.6890, 0.7500], [0.9790, 0.0210, 0.2500], [0.7326, 0.2674, 0.7500], [0.2674, 0.7326, 0.2500], [0.5574, 0.7753, 0.4054], [0.2543, 0.0915, 0.9244], [0.2247, 0.4426, 0.0946], [0.0915, 0.2543, 0.4244], [0.4426, 0.2247, 0.5946], [0.7457, 0.9085, 0.0756], [0.7753, 0.5574, 0.9054], [0.9085, 0.7457, 0.5756], [0.2282, 0.8743, 0.6215], [0.8743, 0.2282, 0.1215], [0.9902, 0.2657, 0.7318], [0.0098, 0.7343, 0.2682], [0.7718, 0.1257, 0.3785], [0.2657, 0.9902, 0.2318], [0.4777, 0.5223, 0.2500], [0.5223, 0.4777, 0.7500], [0.7343, 0.0098, 0.7682], [0.1257, 0.7718, 0.8785]],
  "e_form_mev_per_atom": -2217,
  "dft_energy_ev_per_cell": -187.1,
  "magmom_total_mub_per_fu": 0.0
}


No. 15
{
  "formula": "VGaNi6",
  "functional": "r²SCAN",
  "state": "relaxed",
  "lattice": [[-2.7411, -2.0331, -0.8760], [1.3129, -0.3703, -3.2486], [3.5625, -5.7035, 2.0897]],
  "species": ["Ni", "Ni", "Ni", "Ni", "Ni", "Ni", "Ga", "V"],
  "frac_coords": [[0.5000, 0.0000, 0.2568], [0.0000, 0.5000, 0.7432], [0.0000, 0.5000, 0.2568], [0.5000, 0.5000, 0.5000], [0.5000, 0.5000, 0.0000], [0.5000, 0.0000, 0.7432], [0.0000, 0.0000, 0.0000], [0.0000, 0.0000, 0.5000]],
  "e_form_mev_per_atom": -275,
  "dft_energy_ev_per_cell": -99.6,
  "magmom_total_mub_per_fu": 0.0
}